Record 1
Entry from the Materials Project database: a relaxed structure of Lu2IrPd (GGA-PBE).

Geometry as POSCAR:
```
Lu2IrPd
1.0
0.000 3.395 3.395
3.395 0.000 3.395
3.395 3.395 0.000
Lu Ir Pd
2 1 1
Cartesian
1.698 1.698 1.698
5.093 5.093 5.093
0.000 0.000 0.000
3.395 3.395 3.395
```

Values from the calculation:
Its energy relative to the elements is -1027.9 meV/atom. The density is 13.76 g cm⁻³. As for the calculated volume: 78 Å³/f.u.

=====

Record 2
Entry from the Materials Project database: a relaxed structure of Lu2Si5Ir3 (GGA-PBE).

Geometry as POSCAR:
```
Lu2Si5Ir3
1.0
-5.014 5.674 2.884
5.014 -5.674 2.884
5.014 5.674 -2.884
Lu Si Ir
4 10 6
Cartesian
2.285 1.490 0.000
2.285 -1.490 2.884
2.729 7.165 0.000
2.729 4.184 2.884
5.014 -2.559 1.442
6.578 1.204 0.000
0.000 0.000 1.442
1.564 4.470 0.000
5.014 2.559 1.442
0.000 3.115 1.442
3.451 1.204 2.884
0.000 0.000 4.327
-1.564 4.470 2.884
0.000 8.233 1.442
3.850 -4.085 2.884
5.014 0.000 1.442
3.850 4.085 0.000
1.164 1.590 2.884
0.000 5.674 1.442
1.164 9.759 0.000
```

Values from the calculation:
Its energy relative to the elements is -941.1 meV/atom. The density is 10.79 g cm⁻³. As for the calculated volume: 164 Å³/f.u.

=====

Record 3
Entry from the Materials Project database: a relaxed structure of Lu3Si13Ir4 (GGA-PBE).

Geometry as POSCAR:
```
Lu3Si13Ir4
1.0
8.704 0.000 0.000
0.000 8.704 0.000
0.000 0.000 8.704
Lu Si Ir
6 26 8
Cartesian
0.000 2.176 4.352
0.000 6.528 4.352
2.176 4.352 0.000
4.352 0.000 2.176
4.352 0.000 6.528
6.528 4.352 0.000
0.000 0.000 0.000
0.000 2.590 1.203
0.000 2.590 7.501
0.000 6.114 1.203
0.000 6.114 7.501
1.203 0.000 2.590
1.203 0.000 6.114
1.762 4.352 3.149
1.762 4.352 5.555
2.590 1.203 0.000
2.590 7.501 0.000
3.149 1.762 4.352
3.149 6.942 4.352
4.352 3.149 1.762
4.352 3.149 6.942
4.352 4.352 4.352
4.352 5.555 1.762
4.352 5.555 6.942
5.555 1.762 4.352
5.555 6.942 4.352
6.114 1.203 0.000
6.114 7.501 0.000
6.942 4.352 3.149
6.942 4.352 5.555
7.501 0.000 2.590
7.501 0.000 6.114
2.176 2.176 2.176
2.176 2.176 6.528
2.176 6.528 2.176
2.176 6.528 6.528
6.528 2.176 2.176
6.528 2.176 6.528
6.528 6.528 2.176
6.528 6.528 6.528
```

Values from the calculation:
Its energy relative to the elements is -588.9 meV/atom. The density is 8.35 g cm⁻³. As for the calculated volume: 330 Å³/f.u.

=====

Record 4
Entry from the Materials Project database: a relaxed structure of TbLuIr2 (GGA-PBE).

Geometry as POSCAR:
```
TbLuIr2
1.0
0.000 3.402 3.402
3.402 0.000 3.402
3.402 3.402 0.000
Tb Lu Ir
1 1 2
Cartesian
0.000 0.000 0.000
3.402 3.402 3.402
1.701 1.701 1.701
5.103 5.103 5.103
```

Values from the calculation:
Its energy relative to the elements is -883.8 meV/atom. The density is 15.15 g cm⁻³. As for the calculated volume: 79 Å³/f.u.

=====

Record 5
Entry from the Materials Project database: a relaxed structure of Lu2ZnIr (GGA-PBE).

Geometry as POSCAR:
```
Lu2ZnIr
1.0
0.000 3.414 3.414
3.414 0.000 3.414
3.414 3.414 0.000
Lu Zn Ir
2 1 1
Cartesian
1.707 1.707 1.707
5.121 5.121 5.121
0.000 0.000 0.000
3.414 3.414 3.414
```

Values from the calculation:
Its energy relative to the elements is -714.8 meV/atom. The density is 12.68 g cm⁻³. As for the calculated volume: 80 Å³/f.u.

=====

Record 6
Entry from the Materials Project database: a relaxed structure of Mg13Ir3 (GGA-PBE).

Geometry as POSCAR:
```
Mg13Ir3
1.0
8.051 4.648 2.831
-8.051 4.648 2.831
0.000 -9.297 2.831
Mg Ir
26 6
Cartesian
-8.051 0.000 4.247
-4.026 2.324 1.416
-4.026 -2.324 2.831
-6.384 -2.644 4.997
-0.902 -6.850 3.498
-5.081 0.495 3.539
-5.481 4.206 3.498
0.000 0.000 2.124
-2.970 -4.153 4.955
-0.902 -2.446 3.581
2.112 -4.648 3.539
-1.668 2.005 3.581
-2.570 -0.442 4.913
4.026 2.324 1.416
-4.026 2.324 5.663
0.000 4.648 2.831
2.570 0.442 3.581
1.668 -2.005 4.913
-2.112 4.648 4.955
0.902 2.446 4.913
2.970 4.153 3.539
0.000 0.000 6.371
5.481 -4.206 4.997
5.081 -0.495 4.955
0.902 6.850 4.997
6.384 2.644 3.498
-2.774 0.000 2.124
1.387 -2.402 2.124
1.387 2.402 2.124
-1.387 -2.402 6.371
-1.387 2.402 6.371
2.774 0.000 6.371
```

Values from the calculation:
Its energy relative to the elements is -256.1 meV/atom. The density is 4.66 g cm⁻³. As for the calculated volume: 318 Å³/f.u.

=====

Record 7
Entry from the Materials Project database: a relaxed structure of Mg29Ir4 (GGA-PBE).

Geometry as POSCAR:
```
Mg29Ir4
1.0
0.000 10.047 10.047
10.047 0.000 10.047
10.047 10.047 0.000
Mg Ir
87 12
Cartesian
0.000 0.000 0.000
3.878 3.878 0.396
6.170 6.170 0.396
3.878 0.396 3.878
9.651 6.170 3.878
6.170 0.396 6.170
9.651 3.878 6.170
12.057 8.037 4.645
12.057 4.645 8.037
15.450 8.037 8.037
5.024 5.024 2.881
5.024 2.881 5.024
7.166 5.024 5.024
9.016 9.016 3.205
11.079 11.079 3.205
9.016 3.205 9.016
16.889 11.079 9.016
11.079 3.205 11.079
16.889 9.016 11.079
10.468 6.969 6.969
13.126 9.626 6.969
13.126 6.969 9.626
18.387 11.755 11.755
7.892 7.892 5.706
12.203 12.203 5.706
7.892 5.706 7.892
14.389 12.203 7.892
12.203 5.706 12.203
14.389 7.892 12.203
10.047 10.047 6.429
10.047 6.429 10.047
13.665 10.047 10.047
11.083 9.011 9.011
2.881 5.024 5.024
5.024 7.166 5.024
5.024 5.024 7.166
0.396 3.878 3.878
6.170 9.651 3.878
6.170 3.878 9.651
8.037 12.057 4.645
8.037 4.645 12.057
15.450 12.057 12.057
5.706 7.892 7.892
12.203 14.389 7.892
12.203 7.892 14.389
6.969 10.468 6.969
9.626 13.126 6.969
6.969 6.969 10.468
13.126 13.126 10.468
9.626 6.969 13.126
13.126 10.468 13.126
9.011 11.083 9.011
9.011 9.011 11.083
11.083 11.083 11.083
0.396 6.170 6.170
3.878 9.651 6.170
3.878 6.170 9.651
15.071 15.071 12.731
15.071 12.731 15.071
17.411 15.071 15.071
6.429 10.047 10.047
10.047 13.665 10.047
10.047 10.047 13.665
3.205 9.016 9.016
11.079 16.889 9.016
11.079 9.016 16.889
4.645 12.057 8.037
8.037 15.450 8.037
4.645 8.037 12.057
12.057 15.450 12.057
8.037 8.037 15.450
12.057 12.057 15.450
6.969 13.126 9.626
6.969 9.626 13.126
10.468 13.126 13.126
12.731 15.071 15.071
15.071 17.411 15.071
15.071 15.071 17.411
11.755 18.387 11.755
11.755 11.755 18.387
18.387 18.387 18.387
5.706 12.203 12.203
7.892 14.389 12.203
7.892 12.203 14.389
3.205 11.079 11.079
9.016 16.889 11.079
9.016 11.079 16.889
13.162 6.932 6.932
3.023 3.023 3.023
7.025 7.025 3.023
7.025 3.023 7.025
8.393 8.393 8.393
11.701 11.701 8.393
11.701 8.393 11.701
3.023 7.025 7.025
6.932 13.162 6.932
6.932 6.932 13.162
13.162 13.162 13.162
8.393 11.701 11.701
```

Values from the calculation:
Its energy relative to the elements is -190.6 meV/atom. The density is 3.62 g cm⁻³. As for the calculated volume: 676 Å³/f.u.

=====

Record 8
Entry from the Materials Project database: a relaxed structure of Mg4IrN4 (GGA-PBE).

Geometry as POSCAR:
```
Mg4IrN4
1.0
5.373 0.000 0.000
1.860 5.070 0.000
0.410 2.156 7.982
Mg Ir N
8 2 8
Cartesian
1.951 2.418 3.982
2.948 4.867 2.233
1.749 2.231 7.305
2.247 2.578 0.677
5.396 4.648 7.305
5.894 4.995 0.678
4.695 2.359 5.749
5.692 4.808 4.001
2.798 4.749 5.642
4.844 2.477 2.340
0.448 1.304 0.930
1.072 3.558 5.633
3.626 5.355 4.123
3.497 3.428 7.120
4.145 3.798 0.862
4.017 1.871 3.859
6.571 3.668 2.350
7.195 5.922 7.052
```

Values from the calculation:
Its energy relative to the elements is -450.9 meV/atom. The density is 5.28 g cm⁻³. For the energy with MP2020 corrections, the calculation gives -0.4299 Ry/atom. As for the calculated volume: 109 Å³/f.u.

=====

> Among the records above, which one has the highest energy relative to the elements?

Mg29Ir4

=====

> energy relative to the elements of number 7 (Mg29Ir4)?

-190.6 meV/atom